The following is a DFT calculation (PBE-GGA) of SrPd2 after structural relaxation.

Cell: 7.944 7.944 7.944 Å, 90.00 90.00 90.00°
Space group Fd-3m (No. 227, origin choice 2)
Inequivalent atoms, fractional coordinates:
Sr  0.125  0.125  0.125 x8
Pd  0.000  0.000  0.500 x16

## Properties
V ... 20.89 A^3/atom
DFT formation energy ... -0.64 eV per atom
Electronic total energy ... -4.65 eV/atom

The following is a DFT calculation (PBE-GGA) of LaMg14Fe after structural relaxation.

Cell: 6.5443 6.5443 10.3234 Å, 90.00 90.00 120.00°
Space group P-6m2 (No. 187)
Inequivalent atoms, fractional coordinates:
La  0.0000  0.0000  0.0000 x1
Mg  0.0180  0.5090  0.0000 x3
Mg  0.1585  0.3169  0.2795 x6
Mg  0.5081  0.0161  0.5000 x3
Mg  0.6667  0.3333  0.2366 x2
Fe  0.0000  0.0000  0.5000 x1

## Properties
V ... 23.93 A^3/atom
DFT formation energy ... 0.16 eV per atom
Offset from the most stable computed form ... 5.5 kJ per mole of atoms
Electronic total energy ... -2.07 eV/atom

The following is a DFT calculation (PBE-GGA) of Dy4Ni3Bi8 after structural relaxation.

Cell: 4.550 4.550 18.672 Å, 90.00 90.00 90.00°
Space group P-4m2 (No. 115)
Inequivalent atoms, fractional coordinates:
Dy  0.000  0.500  0.114 x2
Dy  0.000  0.500  0.614 x2
Ni  0.000  0.000  0.000 x1
Ni  0.000  0.000  0.500 x1
Ni  0.500  0.500  0.000 x1
Bi  0.000  0.000  0.250 x2
Bi  0.000  0.500  0.430 x2
Bi  0.000  0.500  0.926 x2
Bi  0.500  0.500  0.250 x2

## Properties
V ... 25.77 A^3/atom
DFT formation energy ... -0.47 eV per atom
Electronic total energy ... -4.93 eV/atom

The following is a DFT calculation (PBE-GGA) of KAuI4O12 after structural relaxation.

Cell: 13.733 5.687 8.515 Å, 90.00 108.99 90.00°
Space group C2 (No. 5)
Inequivalent atoms, fractional coordinates:
K  0.000  0.000  0.000 x2
Au  0.000  0.809  0.500 x2
I  0.150  0.503  0.341 x4
I  0.181  0.560  0.834 x4
O  0.024  0.429  0.196 x4
O  0.102  0.829  0.730 x4
O  0.117  0.811  0.403 x4
O  0.150  0.348  0.528 x4
O  0.198  0.152  0.191 x4
O  0.198  0.687  0.039 x4

## Properties
V ... 17.47 A^3/atom
DFT formation energy ... -0.91 eV per atom
Offset from the most stable computed form ... 0.3 kJ per mole of atoms
Electronic total energy ... -4.34 eV/atom

The following is a DFT calculation (PBE-GGA) of UTe2 after structural relaxation.

Cell: 4.435 4.435 8.881 Å, 90.00 90.00 90.00°
Space group P4/nmm (No. 129, origin choice 2)
Inequivalent atoms, fractional coordinates:
U  0.250  0.250  0.234 x2
Te  0.250  0.250  0.867 x2
Te  0.250  0.750  0.500 x2

## Properties
V ... 29.12 A^3/atom
DFT formation energy ... -0.88 eV per atom
Electronic total energy ... -6.46 eV/atom

The following is a DFT calculation (PBE-GGA) of SnSb3P4O16 after structural relaxation.

Cell: 4.832 7.040 10.082 Å, 90.00 91.05 90.00°
Space group Pm (No. 6)
Inequivalent atoms, fractional coordinates:
Sn  0.000  0.000  0.000 x1
Sb  0.296  0.000  0.494 x1
Sb  0.503  0.500  0.091 x1
Sb  0.795  0.500  0.586 x1
P  0.058  0.500  0.893 x1
P  0.221  0.500  0.390 x1
P  0.565  0.000  0.194 x1
P  0.738  0.000  0.692 x1
O  0.054  0.000  0.676 x1
O  0.086  0.330  0.470 x2
O  0.133  0.500  0.747 x1
O  0.142  0.500  0.243 x1
O  0.198  0.328  0.972 x2
O  0.245  0.000  0.180 x1
O  0.539  0.500  0.404 x1
O  0.592  0.170  0.615 x2
O  0.640  0.000  0.342 x1
O  0.673  0.000  0.841 x1
O  0.696  0.172  0.117 x2
O  0.741  0.500  0.907 x1

## Properties
V ... 14.29 A^3/atom
DFT formation energy ... -2.28 eV per atom
Electronic total energy ... -6.70 eV/atom

The following is a DFT calculation (PBE-GGA) of NdI3O10 after structural relaxation.

Cell: 7.519 6.700 10.222 Å, 90.00 110.00 90.00°
Space group P2_1 (No. 4)
Inequivalent atoms, fractional coordinates:
Nd  0.237  0.000  0.312 x2
I  0.108  0.128  0.920 x2
I  0.170  0.527  0.540 x2
I  0.470  0.474  0.276 x2
O  0.038  0.393  0.889 x2
O  0.046  0.641  0.648 x2
O  0.101  0.717  0.403 x2
O  0.254  0.160  0.103 x2
O  0.270  0.823  0.915 x2
O  0.295  0.132  0.840 x2
O  0.298  0.363  0.349 x2
O  0.345  0.711  0.220 x2
O  0.351  0.055  0.563 x2
O  0.413  0.599  0.641 x2

## Properties
V ... 17.28 A^3/atom
DFT formation energy ... -1.24 eV per atom
Electronic total energy ... -4.95 eV/atom

The following is a DFT calculation (PBE-GGA) of Y3H after structural relaxation.

Cell: 17.378 3.675 6.366 Å, 90.00 90.00 90.00°
Space group Pmma (No. 51)
Inequivalent atoms, fractional coordinates:
Y  0.083  0.000  0.171 x4
Y  0.089  0.500  0.666 x4
Y  0.250  0.000  0.834 x2
Y  0.250  0.500  0.329 x2
H  0.120  0.500  0.332 x4

## Properties
V ... 25.41 A^3/atom
DFT formation energy ... -0.29 eV per atom
Electronic total energy ... -5.95 eV/atom

The following is a DFT calculation (PBE-GGA) of La4Zn3O9 after structural relaxation.

Cell: 5.566 28.423 5.790 Å, 90.00 90.00 90.00°
Space group Pnma (No. 62)
Inequivalent atoms, fractional coordinates:
La  0.241  0.172  0.020 x8
La  0.244  0.049  0.983 x8
Zn  0.204  0.250  0.557 x4
Zn  0.248  0.110  0.501 x8
O  0.000  0.120  0.751 x8
O  0.007  0.601  0.744 x8
O  0.168  0.750  0.387 x4
O  0.224  0.689  0.915 x8
O  0.241  0.529  0.080 x8

## Properties
V ... 14.31 A^3/atom
DFT formation energy ... -3.00 eV per atom
Electronic total energy ... -6.86 eV/atom

The following is a DFT calculation (PBE-GGA) of CsCrBr3 after structural relaxation.

Cell: 7.7599 7.7599 6.4926 Å, 90.00 90.00 120.00°
Space group P6_3mc (No. 186)
Inequivalent atoms, fractional coordinates:
Cs  0.3333  0.6667  0.0000 x2
Cr  0.0000  0.0000  0.2581 x2
Br  0.1575  0.3151  0.5075 x6

## Properties
V ... 33.86 A^3/atom
DFT formation energy ... -1.45 eV per atom
Electronic total energy ... -4.22 eV/atom